No. 1
The following is a PBE calculation of a relaxed Lu4Co3 crystal, from Materials Project.

Geometry as CIF:
```
data_Lu4Co3
_chemical_formula_sum 'Lu12 Co9'
_cell_length_a 3.931
_cell_length_b 11.025
_cell_length_c 11.022
_cell_angle_alpha 59.99
_cell_angle_beta 90.00
_cell_angle_gamma 90.00
_space_group_name_H-M_alt 'P 1'
_space_group_IT_number 1
loop_
_space_group_symop_operation_xyz
'x,y,z'
loop_
_atom_site_label
_atom_site_fract_x
_atom_site_fract_y
_atom_site_fract_z
Lu1 0.250 0.485 0.379
Co1 0.749 0.155 0.283
Co2 0.500 0.000 0.000
Co3 0.249 0.667 0.667
Co4 0.251 0.717 0.438
Lu2 0.251 0.380 0.135
Lu3 0.251 0.225 0.752
Lu4 0.251 0.752 0.022
Lu5 0.750 0.515 0.621
Lu6 0.749 0.248 0.978
Lu7 0.749 0.775 0.248
Lu8 0.251 0.022 0.225
Lu9 0.251 0.135 0.485
Lu10 0.749 0.620 0.865
Lu11 0.749 0.978 0.775
Co5 0.749 0.562 0.155
Co6 0.751 0.333 0.333
Co7 0.251 0.438 0.845
Lu12 0.749 0.865 0.515
Co8 0.749 0.283 0.562
Co9 0.251 0.845 0.717
```

Computed properties:
As for the crystal system: trigonal. For the volume, the calculation gives 414 Å³/cell.

***

No. 2
The following is a PBE calculation of a relaxed Lu4Co crystal, from Materials Project.

Geometry as CIF:
```
data_Lu4Co
_chemical_formula_sum 'Lu8 Co2'
_cell_length_a 7.326
_cell_length_b 7.326
_cell_length_c 7.326
_cell_angle_alpha 60.00
_cell_angle_beta 60.00
_cell_angle_gamma 60.00
_space_group_name_H-M_alt 'P 1'
_space_group_IT_number 1
loop_
_space_group_symop_operation_xyz
'x,y,z'
loop_
_atom_site_label
_atom_site_fract_x
_atom_site_fract_y
_atom_site_fract_z
Lu1 0.386 0.843 0.386
Co1 0.000 0.000 0.000
Lu2 0.864 0.864 0.864
Lu3 0.407 0.864 0.864
Lu4 0.843 0.386 0.386
Lu5 0.386 0.386 0.386
Co2 0.250 0.250 0.250
Lu6 0.864 0.407 0.864
Lu7 0.864 0.864 0.407
Lu8 0.386 0.386 0.843
```

Computed properties:
As for the crystal system: cubic. Its size of the total moment is 0.01 Bohr magnetons per cell. For the volume, the calculation gives 278 Å³/cell.

***

No. 3
The following is a PBE calculation of a relaxed LuCo3 crystal, from Materials Project.

Geometry as CIF:
```
data_LuCo3
_chemical_formula_sum 'Lu3 Co9'
_cell_length_a 4.920
_cell_length_b 4.920
_cell_length_c 8.542
_cell_angle_alpha 73.26
_cell_angle_beta 73.26
_cell_angle_gamma 60.00
_space_group_name_H-M_alt 'P 1'
_space_group_IT_number 1
loop_
_space_group_symop_operation_xyz
'x,y,z'
loop_
_atom_site_label
_atom_site_fract_x
_atom_site_fract_y
_atom_site_fract_z
Lu1 0.140 0.140 0.581
Co1 0.335 0.335 0.996
Lu2 0.860 0.860 0.419
Co2 0.921 0.417 0.246
Co3 0.665 0.665 0.004
Lu3 0.000 0.000 0.000
Co4 0.583 0.079 0.754
Co5 0.417 0.417 0.246
Co6 0.500 0.500 0.500
Co7 0.079 0.583 0.754
Co8 0.417 0.921 0.246
Co9 0.583 0.583 0.754
```

Computed properties:
As for the crystal system: trigonal. Its size of the total moment is 0.42 Bohr magnetons per cell. For the volume, the calculation gives 169 Å³/cell.

***

No. 4
The following is a PBE calculation of a relaxed Lu5Co19P12 crystal, from Materials Project.

Geometry as CIF:
```
data_Lu5Co19P12
_chemical_formula_sum 'Lu5 Co19 P12'
_cell_length_a 11.932
_cell_length_b 11.932
_cell_length_c 3.640
_cell_angle_alpha 90.00
_cell_angle_beta 90.00
_cell_angle_gamma 120.00
_space_group_name_H-M_alt 'P 1'
_space_group_IT_number 1
loop_
_space_group_symop_operation_xyz
'x,y,z'
loop_
_atom_site_label
_atom_site_fract_x
_atom_site_fract_y
_atom_site_fract_z
Co1 0.448 0.448 0.500
Lu1 0.667 0.333 0.500
Co2 0.715 0.000 0.000
P1 0.518 0.834 0.000
Co3 0.126 0.484 0.000
Co4 0.000 0.552 0.500
Co5 0.484 0.126 0.000
P2 0.634 0.634 0.500
Co6 0.623 0.822 0.500
Co7 0.178 0.801 0.500
Co8 0.199 0.377 0.500
Co9 0.642 0.516 0.000
Co10 0.377 0.199 0.500
Co11 0.822 0.623 0.500
P3 0.482 0.315 0.000
Co12 0.358 0.874 0.000
P4 0.179 0.179 0.500
Co13 0.000 0.715 0.000
P5 0.315 0.482 0.000
P6 0.366 0.000 0.500
P7 0.685 0.166 0.000
Co14 0.801 0.178 0.500
Lu2 0.186 0.000 0.000
Co15 0.285 0.285 0.000
Co16 0.552 0.000 0.500
Lu3 0.333 0.667 0.500
P8 0.000 0.821 0.500
P9 0.821 0.000 0.500
P10 0.834 0.518 0.000
Co17 0.000 0.000 0.500
P11 0.166 0.685 0.000
Lu4 0.814 0.814 0.000
Co18 0.874 0.358 0.000
Co19 0.516 0.642 0.000
Lu5 0.000 0.186 0.000
P12 0.000 0.366 0.500
```

Computed properties:
As for the crystal system: hexagonal. For the volume, the calculation gives 449 Å³/cell.

***

No. 5
The following is a PBE calculation of a relaxed LuCo3P2 crystal, from Materials Project.

Geometry as CIF:
```
data_LuCo3P2
_chemical_formula_sum 'Lu6 Co18 P12'
_cell_length_a 3.646
_cell_length_b 10.455
_cell_length_c 12.042
_cell_angle_alpha 90.00
_cell_angle_beta 90.00
_cell_angle_gamma 90.00
_space_group_name_H-M_alt 'P 1'
_space_group_IT_number 1
loop_
_space_group_symop_operation_xyz
'x,y,z'
loop_
_atom_site_label
_atom_site_fract_x
_atom_site_fract_y
_atom_site_fract_z
Co1 0.500 0.667 0.995
P1 0.500 0.313 0.617
Co2 0.500 0.703 0.431
Co3 0.500 0.500 0.160
Co4 0.000 0.203 0.569
P2 0.000 0.654 0.109
P3 0.500 0.500 0.883
Co5 0.500 0.297 0.431
Co6 0.500 0.122 0.709
P4 0.000 0.346 0.109
P5 0.500 0.687 0.617
Co7 0.000 0.000 0.840
P6 0.500 0.846 0.891
Co8 0.500 0.000 0.013
Co9 0.500 0.500 0.704
P7 0.500 0.154 0.891
Lu1 0.500 0.181 0.206
Lu2 0.500 0.819 0.206
P8 0.000 0.000 0.117
P9 0.500 0.500 0.346
Lu3 0.500 0.000 0.477
P10 0.000 0.813 0.383
Co10 0.000 0.833 0.005
Co11 0.500 0.878 0.709
P11 0.000 0.000 0.654
Co12 0.000 0.622 0.291
Co13 0.000 0.797 0.569
P12 0.000 0.187 0.383
Lu4 0.000 0.319 0.794
Co14 0.000 0.500 0.987
Co15 0.000 0.000 0.296
Co16 0.000 0.378 0.291
Lu5 0.000 0.500 0.523
Lu6 0.000 0.681 0.794
Co17 0.500 0.333 0.995
Co18 0.000 0.167 0.005
```

Computed properties:
As for the crystal system: orthorhombic. Its size of the total moment is 4.08 Bohr magnetons per cell. For the volume, the calculation gives 459 Å³/cell.

***

No. 6
The following is a PBE calculation of a relaxed Lu6Co30P19 crystal, from Materials Project.

Geometry as CIF:
```
data_Lu6Co30P19
_chemical_formula_sum 'Lu6 Co30 P19'
_cell_length_a 3.544
_cell_length_b 14.611
_cell_length_c 14.611
_cell_angle_alpha 120.00
_cell_angle_beta 90.00
_cell_angle_gamma 90.00
_space_group_name_H-M_alt 'P 1'
_space_group_IT_number 1
loop_
_space_group_symop_operation_xyz
'x,y,z'
loop_
_atom_site_label
_atom_site_fract_x
_atom_site_fract_y
_atom_site_fract_z
Co1 0.000 0.465 0.539
Co2 0.000 0.775 0.349
Lu1 0.500 0.295 0.903
P1 0.500 0.768 0.451
Co3 0.500 0.027 0.158
Co4 0.500 0.842 0.869
Lu2 0.000 0.393 0.295
P2 0.500 0.683 0.232
Co5 0.000 0.461 0.926
Co6 0.000 0.586 0.852
Co7 0.500 0.926 0.463
P3 0.500 0.863 0.120
P4 0.500 0.880 0.743
P5 0.500 0.000 0.000
Lu3 0.500 0.097 0.393
Co8 0.000 0.651 0.426
Co9 0.000 0.950 0.225
Lu4 0.000 0.705 0.098
Co10 0.000 0.574 0.225
P6 0.000 0.453 0.686
Co11 0.000 0.275 0.050
P7 0.500 0.568 0.940
Co12 0.500 0.428 0.776
Co13 0.500 0.224 0.652
Co14 0.500 0.131 0.973
Co15 0.500 0.730 0.957
P8 0.000 0.630 0.567
Co16 0.500 0.538 0.074
Lu5 0.500 0.607 0.705
P9 0.500 0.549 0.317
Co17 0.000 0.775 0.725
Lu6 0.000 0.902 0.607
Co18 0.000 0.136 0.112
Co19 0.000 0.976 0.864
Co20 0.000 0.148 0.734
P10 0.000 0.135 0.880
Co21 0.500 0.849 0.265
Co22 0.500 0.417 0.151
P11 0.000 0.433 0.063
Co23 0.500 0.043 0.773
P12 0.000 0.937 0.370
Co24 0.500 0.227 0.270
P13 0.000 0.314 0.767
P14 0.000 0.233 0.547
Co25 0.500 0.735 0.583
Co26 0.500 0.537 0.462
Co27 0.000 0.888 0.024
Co28 0.000 0.266 0.414
P15 0.000 0.745 0.865
Co29 0.500 0.348 0.572
P16 0.500 0.060 0.629
Co30 0.000 0.074 0.535
P17 0.000 0.120 0.255
P18 0.500 0.257 0.137
P19 0.500 0.371 0.432
```

Computed properties:
As for the crystal system: hexagonal. Its size of the total moment is 6.96 Bohr magnetons per cell. For the volume, the calculation gives 655 Å³/cell.

***

no.,calculated total energy (eV per cell),theoretical density (g/cm³)
1,-123.59,10.56
2,-47.41,9.06
3,-79.64,10.38
4,-255.18,8.75
5,-254.25,8.98
6,-389.89,8.63